MgCd2Bi2O6 | PBE | relaxed

Structure (extended XYZ):
```
11
Lattice="-2.605 1.940 4.813 0.001 3.250 -4.812 -4.188 -2.107 -4.924" Properties=species:S:1:pos:R:3 pbc="T T T"
O -2.206 3.209 -3.585
O -3.759 0.320 -4.592
O -3.033 2.740 -0.500
O -5.559 2.714 -2.798
O -1.354 0.486 -2.077
Cd -3.669 1.405 -2.551
Mg -2.953 1.766 1.194
Cd -1.011 2.747 -1.648
Bi -2.407 2.042 -5.628
O -4.598 -0.271 -1.257
Bi -6.326 0.075 0.052
```

Output
ΔH_f (0 K) (meV/atom): -1660
Excess energy over the best structure of this formula in the dataset (eV per atom): 0.0472
Size of the total moment (μB/f.u.): 0.00
Total DFT energy (no corrections) (eV/atom): -5.005
MP2020-corrected energy (eV per atom): -5.38